## Sr2Bi2O5 (meta-GGA r2SCAN)

Data for a geometry-optimized Sr2Bi2O5 structure.

abc: 7.406 6.208 7.677
angles: 90.00 104.59 90.00
Space group P2_1/m (No. 11)
One atom of each set of equivalent atoms:
Sr 0.105 0.250 0.149 x2
Sr 0.131 0.250 0.658 x2
Bi 0.371 0.750 0.476 x2
Bi 0.387 0.750 0.964 x2
O 0.174 0.509 0.409 x4
O 0.188 0.510 0.928 x4
O 0.490 0.750 0.250 x2

Values from the calculation:
The formation energy is -2123 meV/atom. The volume comes out at 19.0 Å³/atom.

## PrNd3 (meta-GGA r2SCAN)

Data for a geometry-optimized PrNd3 structure.

abc: 5.240 5.240 10.418
angles: 90.00 90.00 90.00
Space group I4/mmm (No. 139)
One atom of each set of equivalent atoms:
Pr 0.000 0.000 0.000 x2
Nd 0.000 0.000 0.500 x2
Nd 0.000 0.500 0.250 x4

Values from the calculation:
The formation energy is 22 meV/atom. The volume comes out at 35.8 Å³/atom.

## SiO2 (meta-GGA r2SCAN)

Data for a geometry-optimized SiO2 structure.

abc: 7.519 14.316 18.966
angles: 90.00 90.00 90.00
Space group Imm2 (No. 44)
One atom of each set of equivalent atoms:
Si 0.000 0.000 0.049 x2
Si 0.000 0.203 0.000 x4
Si 0.000 0.300 0.850 x4
Si 0.000 0.500 0.920 x2
Si 0.206 0.000 0.540 x4
Si 0.206 0.197 0.238 x8
Si 0.206 0.201 0.595 x8
Si 0.207 0.500 0.668 x4
O 0.000 0.000 0.516 x2
O 0.000 0.091 0.999 x4
O 0.000 0.206 0.259 x4
O 0.000 0.222 0.577 x4
O 0.000 0.238 0.920 x4
O 0.000 0.410 0.870 x4
O 0.000 0.500 0.646 x2
O 0.175 0.276 0.805 x8
O 0.175 0.500 0.969 x4
O 0.176 0.000 0.098 x4
O 0.176 0.240 0.040 x8
O 0.248 0.091 0.587 x8
O 0.249 0.091 0.215 x8
O 0.249 0.268 0.174 x8

Values from the calculation:
The formation energy is -3019 meV/atom. The volume comes out at 18.9 Å³/atom.

## HF (meta-GGA r2SCAN)

Data for a geometry-optimized HF structure.

abc: 2.888 4.381 5.392
angles: 90.00 90.00 90.00
Space group Cmc2_1 (No. 36)
One atom of each set of equivalent atoms:
H 0.000 0.072 0.000 x4
F 0.000 0.145 0.497 x4

Values from the calculation:
The formation energy is -1566 meV/atom. The volume comes out at 8.5 Å³/atom.

## HfVP (meta-GGA r2SCAN)

Data for a geometry-optimized HfVP structure.

abc: 6.546 3.473 7.823
angles: 90.00 90.00 90.00
Space group Pnma (No. 62)
One atom of each set of equivalent atoms:
Hf 0.041 0.250 0.168 x4
V 0.130 0.250 0.558 x4
P 0.240 0.750 0.362 x4

Values from the calculation:
The formation energy is -1163 meV/atom. The volume comes out at 14.8 Å³/atom.

## Ca11InSb9 (meta-GGA r2SCAN)

Data for a geometry-optimized Ca11InSb9 structure.

abc: 11.918 12.632 16.815
angles: 90.00 90.00 90.00
Space group Iba2 (No. 45)
One atom of each set of equivalent atoms:
Ca 0.000 0.000 0.165 x4
Ca 0.074 0.278 0.183 x8
Ca 0.088 0.274 0.500 x8
Ca 0.163 0.176 0.841 x8
Ca 0.183 0.444 0.969 x8
Ca 0.183 0.447 0.711 x8
In 0.000 0.000 0.448 x4
Sb 0.000 0.500 0.089 x4
Sb 0.036 0.392 0.343 x8
Sb 0.136 0.119 0.336 x8
Sb 0.150 0.142 0.031 x8
Sb 0.175 0.177 0.659 x8

Values from the calculation:
The formation energy is -1151 meV/atom. The volume comes out at 30.1 Å³/atom.

## TlAsS2 (meta-GGA r2SCAN)

Data for a geometry-optimized TlAsS2 structure.

abc: 6.196 11.496 12.586
angles: 90.00 104.85 90.00
Space group P2_1/c (No. 14)
One atom of each set of equivalent atoms:
Tl 0.158 0.183 0.055 x4
Tl 0.267 0.557 0.894 x4
As 0.231 0.666 0.198 x4
As 0.463 0.089 0.861 x4
S 0.192 0.559 0.649 x4
S 0.271 0.035 0.683 x4
S 0.284 0.686 0.375 x4
S 0.421 0.213 0.328 x4

Values from the calculation:
The formation energy is -321 meV/atom. The volume comes out at 27.1 Å³/atom.

## PmEuZn2 (meta-GGA r2SCAN)

Data for a geometry-optimized PmEuZn2 structure.

abc: 7.353 7.353 7.353
angles: 90.00 90.00 90.00
Space group Fm-3m (No. 225)
One atom of each set of equivalent atoms:
Pm 0.000 0.000 0.000 x4
Eu 0.000 0.000 0.500 x4
Zn 0.250 0.250 0.250 x8

Values from the calculation:
The formation energy is -290 meV/atom. The volume comes out at 24.8 Å³/atom.

## Cs2CaBr4 (meta-GGA r2SCAN)

Data for a geometry-optimized Cs2CaBr4 structure.

abc: 5.679 5.679 18.122
angles: 90.00 90.00 90.00
Space group I4/mmm (No. 139)
One atom of each set of equivalent atoms:
Cs 0.000 0.000 0.142 x4
Ca 0.000 0.000 0.500 x2
Br 0.000 0.000 0.340 x4
Br 0.000 0.500 0.000 x4

Values from the calculation:
The formation energy is -2188 meV/atom. The volume comes out at 41.7 Å³/atom.

## Ho4CdPt (meta-GGA r2SCAN)

Data for a geometry-optimized Ho4CdPt structure.

abc: 13.556 13.556 13.556
angles: 90.00 90.00 90.00
Space group F-43m (No. 216)
One atom of each set of equivalent atoms:
Ho 0.000 0.000 0.186 x24
Ho 0.060 0.250 0.750 x24
Ho 0.103 0.103 0.397 x16
Cd 0.168 0.168 0.168 x16
Pt 0.107 0.107 0.607 x16

Values from the calculation:
The formation energy is -696 meV/atom. The volume comes out at 26.0 Å³/atom.

## Yb3Ti (meta-GGA r2SCAN)

Data for a geometry-optimized Yb3Ti structure.

abc: 4.749 4.749 4.749
angles: 90.00 90.00 90.00
Space group Pm-3m (No. 221)
One atom of each set of equivalent atoms:
Yb 0.000 0.000 0.500 x3
Ti 0.500 0.500 0.500 x1

Values from the calculation:
The formation energy is 156 meV/atom. The volume comes out at 26.8 Å³/atom.

## NdF3 (meta-GGA r2SCAN)

Data for a geometry-optimized NdF3 structure.

abc: 6.9996 6.9996 7.2045
angles: 90.00 90.00 120.00
Space group P6_3cm (No. 185)
One atom of each set of equivalent atoms:
Nd 0.0000 0.3256 0.0000 x6
F 0.0000 0.0000 0.0743 x2
F 0.0000 0.2767 0.3314 x6
F 0.0000 0.3783 0.6691 x6
F 0.3333 0.6667 0.4530 x4

Values from the calculation:
The formation energy is -4451 meV/atom. The volume comes out at 12.7 Å³/atom.